1.
Entry from Materials Project: a geometry-optimized Ag8Ge3O10 structure (PBE-GGA).

Unit cell a=12.3579 b=10.9387 c=18.8677 alpha=90.00 beta=92.24 gamma=90.00
With the nearest neighbours (Å) after each atom.
Sites, in units of the cell vectors:
Ag 0.0000 0.1068 0.0000  3 O 2.34-2.41
Ag 0.0000 0.8932 0.5000  3 O 2.34-2.41
Ag 0.0426 0.3868 0.4990  2 O 2.26-2.49
Ag 0.0426 0.6132 0.9990  2 O 2.26-2.49
Ag 0.0476 0.3827 0.6721  3 O 2.28-2.39
Ag 0.0476 0.6173 0.1721  3 O 2.28-2.39
Ag 0.0595 0.1240 0.1953  2 O 2.21
Ag 0.0595 0.8760 0.6953  2 O 2.21
Ag 0.0947 0.1378 0.5550  4 O 2.29-2.55
Ag 0.0947 0.8622 0.0550  4 O 2.29-2.55
Ag 0.1286 0.1064 0.7533  3 O 2.35
Ag 0.1286 0.8936 0.2533  3 O 2.35
Ag 0.1311 0.3582 0.0468  3 O 2.32-2.36
Ag 0.1311 0.6418 0.5468  3 O 2.32-2.36
Ag 0.2223 0.1183 0.9122  3 O 2.32-2.57
Ag 0.2223 0.8817 0.4122  3 O 2.32-2.57
Ag 0.2270 0.3872 0.2142  3 O 2.24-2.39
Ag 0.2270 0.6128 0.7142  3 O 2.24-2.39
Ag 0.2726 0.3577 0.4012  2 O 2.21-2.31
Ag 0.2726 0.6423 0.9012  2 O 2.21-2.31
Ag 0.2864 0.1322 0.2795  3 O 2.28-2.48
Ag 0.2864 0.8678 0.7795  3 O 2.28-2.48
Ag 0.3263 0.3619 0.7858  2 O 2.22-2.35
Ag 0.3263 0.6381 0.2858  2 O 2.22-2.35
Ag 0.3401 0.3783 0.9456  2 O 2.27-2.32
Ag 0.3401 0.6217 0.4456  2 O 2.27-2.32
Ag 0.3439 0.1379 0.4726  2 O 2.22-2.35
Ag 0.3439 0.8621 0.9726  2 O 2.22-2.35
Ag 0.4173 0.3631 0.1115  3 O 2.25-2.42
Ag 0.4173 0.6369 0.6115  3 O 2.25-2.42
Ag 0.4376 0.1367 0.8447  3 O 2.27-2.43
Ag 0.4376 0.8633 0.3447  3 O 2.27-2.43
Ag 0.5087 0.3602 0.4850  2 O 2.21-2.31
Ag 0.5087 0.6398 0.9850  2 O 2.21-2.31
Ag 0.5122 0.1276 0.0116  3 O 2.29-2.54
Ag 0.5122 0.8724 0.5116  3 O 2.29-2.54
Ag 0.5246 0.1443 0.1697  2 O 2.17-2.26
Ag 0.5246 0.8557 0.6697  2 O 2.17-2.26
Ag 0.5658 0.3669 0.6763  2 O 2.26-2.31
Ag 0.5658 0.6331 0.1763  2 O 2.26-2.31
Ag 0.5799 0.1407 0.5561  2 O 2.20-2.33
Ag 0.5799 0.8593 0.0561  2 O 2.20-2.33
Ag 0.6255 0.1126 0.7429  3 O 2.30-2.45
Ag 0.6255 0.8874 0.2429  3 O 2.30-2.45
Ag 0.6334 0.3795 0.0420  3 O 2.32-2.53
Ag 0.6334 0.6205 0.5420  3 O 2.32-2.53
Ag 0.7200 0.1485 0.9086  3 O 2.31-2.39
Ag 0.7203 0.3853 0.2004  3 O 2.30-2.56
Ag 0.7203 0.6147 0.7004  3 O 2.30-2.56
Ag 0.7200 0.8515 0.4086  3 O 2.31-2.39
Ag 0.7610 0.3613 0.4023  3 O 2.28-2.45
Ag 0.7610 0.6387 0.9023  3 O 2.28-2.45
Ag 0.7913 0.3739 0.7628  2 O 2.18-2.19
Ag 0.7913 0.6261 0.2628  2 O 2.18-2.19
Ag 0.8052 0.1203 0.2802  4 O 2.35-2.46
Ag 0.8052 0.8797 0.7802  4 O 2.35-2.46
Ag 0.8095 0.1097 0.4563  2 O 2.26-2.51
Ag 0.8095 0.8903 0.9563  2 O 2.26-2.51
Ag 0.8599 0.3915 0.9562  4 O 2.32-2.43
Ag 0.8599 0.6085 0.4562  4 O 2.32-2.43
Ag 0.9189 0.1506 0.8255  2 O 2.21
Ag 0.9189 0.8494 0.3255  2 O 2.21
Ag 0.9282 0.3467 0.1293  2 O 2.14-2.16
Ag 0.9282 0.6533 0.6293  2 O 2.14-2.16
Ge 0.0591 0.1286 0.3731  4 O 1.77-1.83
Ge 0.0591 0.8714 0.8731  4 O 1.77-1.83
Ge 0.0854 0.3655 0.8741  4 O 1.76-1.81
Ge 0.0854 0.6345 0.3741  4 O 1.76-1.81
Ge 0.2714 0.1206 0.0920  4 O 1.76-1.83
Ge 0.2714 0.8794 0.5920  4 O 1.76-1.83
Ge 0.2851 0.3785 0.5808  4 O 1.77-1.81
Ge 0.2851 0.6215 0.0808  4 O 1.77-1.81
Ge 0.3603 0.1224 0.6656  4 O 1.74-1.83
Ge 0.3603 0.8776 0.1656  4 O 1.74-1.83
Ge 0.4896 0.3716 0.2928  4 O 1.74-1.82
Ge 0.4896 0.6284 0.7928  4 O 1.74-1.82
Ge 0.5681 0.1187 0.3795  4 O 1.76-1.82
Ge 0.5681 0.8813 0.8795  4 O 1.76-1.82
Ge 0.5790 0.3832 0.8640  4 O 1.77-1.83
Ge 0.5790 0.6168 0.3640  4 O 1.77-1.83
Ge 0.7628 0.1280 0.0889  4 O 1.76-1.83
Ge 0.7628 0.8720 0.5889  4 O 1.76-1.83
Ge 0.7941 0.3734 0.5844  4 O 1.77-1.83
Ge 0.7941 0.6266 0.0844  4 O 1.77-1.83
Ge 0.8755 0.1180 0.6503  4 O 1.76-1.82
Ge 0.8755 0.8820 0.1503  4 O 1.76-1.82
Ge 0.9808 0.3795 0.2997  4 O 1.76-1.81
Ge 0.9808 0.6205 0.7997  4 O 1.76-1.81
O 0.0106 0.1691 0.6592  1 Ge 1.76
O 0.0106 0.8309 0.1592  1 Ge 1.76
O 0.0433 0.3619 0.2178  1 Ge 1.76
O 0.0433 0.6381 0.7178  1 Ge 1.76
O 0.0574 0.2958 0.3674  2 Ge 1.81-1.83
O 0.0574 0.7042 0.8674  2 Ge 1.81-1.83
O 0.1323 0.1611 0.0922  1 Ge 1.78
O 0.1323 0.8389 0.5922  1 Ge 1.78
O 0.1635 0.4506 0.9381  1 Ge 1.78
O 0.1635 0.5494 0.4381  1 Ge 1.78
O 0.1709 0.2828 0.8195  1 Ge 1.76
O 0.1709 0.7172 0.3195  1 Ge 1.76
O 0.1879 0.4745 0.6184  1 Ge 1.77
O 0.1879 0.5255 0.1184  1 Ge 1.77
O 0.1970 0.0838 0.3790  1 Ge 1.77
O 0.1970 0.9162 0.8790  1 Ge 1.77
O 0.2236 0.2884 0.5111  1 Ge 1.79
O 0.2236 0.7116 0.0111  1 Ge 1.79
O 0.2760 0.0462 0.5974  2 Ge 1.83
O 0.2760 0.9538 0.0974  2 Ge 1.83
O 0.3176 0.0852 0.7500  1 Ge 1.74
O 0.3176 0.9148 0.2500  1 Ge 1.74
O 0.3300 0.1666 0.0126  1 Ge 1.76
O 0.3300 0.8334 0.5125  1 Ge 1.76
O 0.3372 0.2837 0.6530  2 Ge 1.80-1.81
O 0.3372 0.7163 0.1530  2 Ge 1.80-1.81
O 0.3445 0.1831 0.1672  1 Ge 1.79
O 0.3445 0.8169 0.6672  1 Ge 1.79
O 0.3517 0.4104 0.3029  1 Ge 1.77
O 0.3517 0.5896 0.8029  1 Ge 1.77
O 0.3934 0.4645 0.5480  1 Ge 1.77
O 0.3934 0.5355 0.0480  1 Ge 1.77
O 0.4650 0.0286 0.4158  1 Ge 1.77
O 0.4650 0.9714 0.9158  1 Ge 1.77
O 0.4972 0.0865 0.6524  1 Ge 1.76
O 0.4972 0.9135 0.1524  1 Ge 1.76
O 0.5039 0.2099 0.3090  2 Ge 1.80-1.82
O 0.5039 0.7901 0.8090  2 Ge 1.80-1.82
O 0.5119 0.3159 0.7885  1 Ge 1.78
O 0.5119 0.6841 0.2885  1 Ge 1.78
O 0.5197 0.3364 0.9433  1 Ge 1.77
O 0.5197 0.6636 0.4433  1 Ge 1.77
O 0.5364 0.4108 0.2099  1 Ge 1.74
O 0.5364 0.5892 0.7099  1 Ge 1.74
O 0.5696 0.4499 0.3617  2 Ge 1.82-1.83
O 0.5696 0.5501 0.8617  2 Ge 1.82-1.83
O 0.6293 0.2156 0.4462  1 Ge 1.79
O 0.6293 0.7844 0.9462  1 Ge 1.79
O 0.6568 0.4193 0.5792  1 Ge 1.77
O 0.6568 0.5807 0.0792  1 Ge 1.77
O 0.6671 0.0257 0.3421  1 Ge 1.76
O 0.6671 0.9743 0.8421  1 Ge 1.76
O 0.6855 0.0544 0.0197  1 Ge 1.78
O 0.6855 0.9456 0.5197  1 Ge 1.78
O 0.6998 0.1583 0.1691  1 Ge 1.76
O 0.6998 0.8417 0.6691  1 Ge 1.76
O 0.7195 0.3466 0.8658  1 Ge 1.78
O 0.7195 0.6534 0.3658  1 Ge 1.78
O 0.7957 0.2062 0.5860  2 Ge 1.81-1.83
O 0.7957 0.7938 0.0860  2 Ge 1.81-1.83
O 0.8112 0.1142 0.7318  1 Ge 1.76
O 0.8112 0.8858 0.2318  1 Ge 1.76
O 0.8124 0.2687 0.0548  1 Ge 1.79
O 0.8124 0.7313 0.5548  1 Ge 1.79
O 0.8429 0.3386 0.2967  1 Ge 1.76
O 0.8429 0.6614 0.7967  1 Ge 1.76
O 0.8604 0.4291 0.6633  1 Ge 1.78
O 0.8604 0.5709 0.1633  1 Ge 1.78
O 0.8624 0.4154 0.5069  1 Ge 1.78
O 0.8624 0.5846 0.0069  1 Ge 1.78
O 0.8811 0.0316 0.1082  2 Ge 1.82-1.83
O 0.8811 0.9684 0.6082  2 Ge 1.82-1.83
O 0.9910 0.0919 0.4512  1 Ge 1.77
O 0.9911 0.4624 0.8247  2 Ge 1.80-1.81
O 0.9911 0.5376 0.3247  2 Ge 1.80-1.81
O 0.9910 0.9081 0.9512  1 Ge 1.77
O 0.9927 0.0649 0.2965  1 Ge 1.78
O 0.9927 0.9351 0.7965  1 Ge 1.78
O 0.9941 0.2592 0.9129  1 Ge 1.80
O 0.9941 0.7408 0.4129  1 Ge 1.80

Values from the calculation:
Crystal system: monoclinic
Total DFT energy (no corrections), eV for the cell shown: -810.5
Formation energy from the elements, meV/atom: -1056


2.
Entry from Materials Project: a geometry-optimized Na6Sc2Al2Si3S3O24 structure (PBE-GGA).

Unit cell a=8.8545 b=8.9167 c=22.1387 alpha=89.23 beta=88.97 gamma=60.68
With the nearest neighbours (Å) after each atom.
Sites, in units of the cell vectors:
Na 0.0000 0.0000 0.0000  5 O 2.37-2.47
Na 0.0013 0.7436 0.5143  5 O 2.39-2.60
Na 0.0144 0.3646 0.2466  5 O 2.33-2.58
Na 0.0336 0.6765 0.1593  6 O 2.41-2.68
Na 0.0424 0.0253 0.6799  5 O 2.39-2.61
Na 0.3256 0.3504 0.3239  3 O 2.27-2.41
Na 0.3271 0.0657 0.8305  3 O 2.33-2.49
Na 0.3289 0.6979 0.6023  3 O 2.31-2.43
Na 0.3341 0.7186 0.0847  6 O 2.36-2.64
Na 0.3496 0.0102 0.5273  3 O 2.31-2.47
Na 0.3538 0.3813 0.0089  5 O 2.41-2.62
Na 0.6715 0.6817 0.6895  4 O 2.33-2.59
Na 0.6749 0.3872 0.1666  5 O 2.38-2.66
Na 0.6834 0.0112 0.9197  3 O 2.34-2.56
Na 0.6882 0.0269 0.4223  4 O 2.31-2.58
Na 0.9558 0.7137 0.8410  6 O 2.41-2.60
Na 0.9701 0.0620 0.3393  5 O 2.35-2.57
Na 0.9974 0.3712 0.7595  6 O 2.44-2.57
Sc 0.0186 0.3563 0.6176  5 O 1.98-2.16
Sc 0.3161 0.7175 0.4409  5 O 1.95-2.16
Sc 0.6778 0.0405 0.2673  4 O 1.99-2.09
Sc 0.6864 0.0337 0.5791  4 O 1.99-2.07
Sc 0.9739 0.3925 0.9002  4 O 1.96-2.08
Sc 0.9914 0.3763 0.4018  4 O 1.96-2.16
Al 0.0378 0.3588 0.1071  4 O 1.81-1.86
Al 0.2981 0.7165 0.9302  4 O 1.76-1.93
Al 0.3120 0.7013 0.2266  3 O 1.77-1.85
Al 0.3236 0.7309 0.7399  4 O 1.80-1.89
Al 0.6786 0.0052 0.7774  4 O 1.79-1.89
Al 0.6883 0.0302 0.0766  3 O 1.80-1.88
Si 0.0253 0.0045 0.8375  4 O 1.63-1.67
Si 0.0361 0.7042 0.3350  4 O 1.63-1.66
Si 0.3792 0.3271 0.1709  4 O 1.63-1.69
Si 0.3843 0.0328 0.6784  4 O 1.62-1.65
Si 0.6021 0.7098 0.8394  4 O 1.62-1.67
Si 0.9750 0.0458 0.1701  4 O 1.64-1.66
Si 0.9782 0.7355 0.6785  4 O 1.62-1.67
Si 0.9945 0.0796 0.5043  4 O 1.63-1.68
Si 0.9939 0.6710 0.0073  4 O 1.63-1.71
S 0.3008 0.3677 0.5031  4 O 1.47-1.50
S 0.3022 0.0787 0.0073  4 O 1.48-1.51
S 0.3410 0.9917 0.3364  4 O 1.47-1.51
S 0.3416 0.4190 0.8407  4 O 1.46-1.52
S 0.6206 0.4225 0.3344  4 O 1.47-1.51
S 0.6561 0.3332 0.6777  4 O 1.46-1.52
S 0.6610 0.7463 0.1713  4 O 1.48-1.50
S 0.7031 0.6665 0.5079  4 O 1.46-1.50
S 0.7049 0.3691 0.0117  4 O 1.47-1.52
O 0.0223 0.1764 0.5614  1 Si 1.63
O 0.0262 0.1860 0.8469  1 Si 1.64
O 0.0286 0.5234 0.3381  1 Si 1.65
O 0.0324 0.5350 0.0643  1 Si 1.66, 1 Al 1.81
O 0.1019 0.8817 0.8990  1 Si 1.67, 1 Al 1.78
O 0.1221 0.7265 0.3980  1 Si 1.66
O 0.1573 0.9114 0.7806  1 Si 1.63, 1 Al 1.80
O 0.1623 0.8694 0.1777  1 Si 1.64, 1 Al 1.80
O 0.1676 0.6802 0.2781  1 Si 1.64, 1 Al 1.77
O 0.1690 0.7140 0.6879  1 Si 1.62
O 0.1728 0.8852 0.5052  1 Si 1.68
O 0.1776 0.1651 0.3352  1 S 1.51
O 0.1777 0.6883 0.9991  1 Si 1.71
O 0.1794 0.3668 0.1635  1 Si 1.64, 1 Al 1.81
O 0.1812 0.3986 0.8425  1 S 1.52
O 0.1819 0.1697 0.0599  1 S 1.51
O 0.1842 0.1942 0.6770  1 Si 1.65
O 0.1857 0.3979 0.5561  1 S 1.48
O 0.2147 0.3565 0.4470  1 S 1.50
O 0.2275 0.1816 0.9518  1 S 1.48
O 0.3097 0.9084 0.0051  1 S 1.49
O 0.3187 0.5348 0.7897  1 S 1.47
O 0.3274 0.5200 0.5003  1 S 1.49
O 0.3322 0.8905 0.2861  1 S 1.47
O 0.3477 0.5000 0.8996  1 S 1.51
O 0.3500 0.9058 0.3955  1 S 1.49
O 0.3658 0.8572 0.6791  1 Si 1.65
O 0.3670 0.5216 0.1738  1 Si 1.69, 1 Al 1.85
O 0.4541 0.2259 0.2348  1 Si 1.63
O 0.4665 0.2069 0.5075  1 S 1.47
O 0.4732 0.0647 0.0166  1 S 1.48
O 0.4736 0.7293 0.8967  1 Si 1.64, 1 Al 1.76
O 0.4856 0.0542 0.7350  1 Si 1.62
O 0.4877 0.0156 0.6140  1 Si 1.65
O 0.4905 0.0220 0.3341  1 S 1.48
O 0.4951 0.2491 0.8378  1 S 1.46
O 0.5049 0.7264 0.1798  1 S 1.49
O 0.5060 0.5053 0.6817  1 S 1.46
O 0.5139 0.2194 0.1160  1 Si 1.64
O 0.5207 0.6870 0.7774  1 Si 1.62, 1 Al 1.81
O 0.5229 0.5156 0.3888  1 S 1.47
O 0.5290 0.6839 0.5025  1 S 1.48
O 0.5301 0.5184 0.0062  1 S 1.47
O 0.5376 0.5165 0.2785  1 S 1.48
O 0.6248 0.8855 0.8376  1 Si 1.67
O 0.6304 0.2491 0.3371  1 S 1.51
O 0.6360 0.8557 0.1175  1 S 1.48
O 0.6421 0.2565 0.6194  1 S 1.50
O 0.6828 0.2190 0.7288  1 S 1.46
O 0.6847 0.8426 0.5073  1 S 1.50
O 0.6892 0.2068 0.0155  1 S 1.52
O 0.6953 0.8236 0.2253  1 S 1.50
O 0.7862 0.5736 0.5631  1 S 1.46
O 0.7909 0.3887 0.0653  1 S 1.48
O 0.8022 0.3927 0.3353  1 S 1.50
O 0.8039 0.5500 0.8418  1 Si 1.65
O 0.8144 0.5717 0.1645  1 S 1.49
O 0.8141 0.5784 0.4535  1 S 1.50
O 0.8162 0.3395 0.9572  1 S 1.49
O 0.8177 0.3520 0.6734  1 S 1.52
O 0.8278 0.0488 0.5062  1 Si 1.63
O 0.8289 0.8664 0.0191  1 Si 1.66
O 0.8345 0.0199 0.8293  1 Si 1.64
O 0.8424 0.8340 0.7336  1 Si 1.63, 1 Al 1.79
O 0.8490 0.8807 0.3319  1 Si 1.63
O 0.8557 0.0934 0.2328  1 Si 1.66
O 0.8748 0.0010 0.1175  1 Si 1.64, 1 Al 1.80
O 0.9059 0.8540 0.6157  1 Si 1.67
O 0.9708 0.5883 0.9455  1 Si 1.63
O 0.9751 0.5554 0.6696  1 Si 1.63
O 0.9842 0.2228 0.1572  1 Si 1.64
O 0.9878 0.1787 0.4401  1 Si 1.65

Values from the calculation:
Crystal system: triclinic
Total DFT energy (no corrections), eV for the cell shown: -803.6
Formation energy from the elements, meV/atom: -2720


3.
Entry from Materials Project: a geometry-optimized CsRb2AuCl6 structure (PBE-GGA).

Unit cell a=8.0520 b=8.0520 c=8.0520 alpha=60.00 beta=60.00 gamma=60.00
With the nearest neighbours (Å) after each atom.
Sites, in units of the cell vectors:
Cs 0.0000 0.0000 0.0000  6 Cl 3.18
Rb 0.2500 0.2500 0.2500  12 Cl 4.04
Rb 0.7500 0.7500 0.7500  12 Cl 4.04
Au 0.5000 0.5000 0.5000  6 Cl 2.52
Cl 0.2788 0.2788 0.7212  1 Au 2.52
Cl 0.2788 0.7212 0.2788  1 Au 2.52
Cl 0.2788 0.7212 0.7212  1 Au 2.52
Cl 0.7212 0.2788 0.2788  1 Au 2.52
Cl 0.7212 0.2788 0.7212  1 Au 2.52
Cl 0.7212 0.7212 0.2788  1 Au 2.52

Values from the calculation:
Crystal system: cubic
Total DFT energy (no corrections), eV for the cell shown: -28.8
Formation energy from the elements, meV/atom: -1528


Question: Among the records above, which one has the lowest total DFT energy (no corrections)?
Answer: Ag8Ge3O10


Question: total DFT energy (no corrections) of number 2 (Na6Sc2Al2Si3S3O24)?
Answer: -803.6 eV for the cell shown


Question: What is the formula in the second record?
Answer: Na6Sc2Al2Si3S3O24


Question: Among the records above, which one has the highest formation energy from the elements?
Answer: Ag8Ge3O10